(1)
VASP calculation (PBE) on a relaxed HfTe3 crystal.

Cell: 4.0030 5.8142 10.5651 Å, 83.38 90.00 90.00°
With the nearest neighbours (Å) after each atom.
Element x y z (fractional)
Hf (0.2500, 0.7168, 0.6598)  8 Te 2.96-3.14
Hf (0.7500, 0.2832, 0.3402)  8 Te 2.96-3.14
Te (0.2500, 0.2391, 0.5479)  4 Hf 2.96-3.14
Te (0.7500, 0.7609, 0.4521)  4 Hf 2.96-3.14
Te (0.2500, 0.5620, 0.1802)  2 Te 2.82-2.99, 2 Hf 2.98
Te (0.7500, 0.4380, 0.8198)  2 Te 2.82-2.99, 2 Hf 2.98
Te (0.2500, 0.0782, 0.1734)  2 Te 2.82-2.99, 2 Hf 3.00
Te (0.7500, 0.9218, 0.8266)  2 Te 2.82-2.99, 2 Hf 3.00

Computed properties:
Total energy ... -5.4548 eV/atom
Space-group type ... P2_1/m (11)
ΔH_f (0 K) ... -925 meV per atom


(2)
VASP calculation (PBE) on a relaxed Rb4Ge23 crystal.

Cell: 11.1647 11.1647 11.1647 Å, 90.00 90.00 90.00°
With the nearest neighbours (Å) after each atom.
Element x y z (fractional)
Rb (0.0000, 0.0000, 0.0000)  20 Ge 3.57-3.67
Rb (0.5000, 0.5000, 0.5000)  20 Ge 3.57-3.67
Rb (0.2500, 0.0000, 0.5000)  20 Ge 3.78-4.15
Rb (0.7500, 0.0000, 0.5000)  20 Ge 3.78-4.15
Rb (0.5000, 0.2500, 0.0000)  20 Ge 3.78-4.15
Rb (0.5000, 0.7500, 0.0000)  20 Ge 3.78-4.15
Rb (0.0000, 0.5000, 0.2500)  20 Ge 3.78-4.15
Rb (0.0000, 0.5000, 0.7500)  20 Ge 3.78-4.15
Ge (0.0000, 0.1196, 0.3058)  4 Ge 2.57-2.67
Ge (0.0000, 0.8804, 0.6942)  4 Ge 2.57-2.67
Ge (0.0000, 0.8804, 0.3058)  4 Ge 2.57-2.67
Ge (0.0000, 0.1196, 0.6942)  4 Ge 2.57-2.67
Ge (0.3058, 0.0000, 0.1196)  4 Ge 2.57-2.67
Ge (0.6196, 0.5000, 0.1942)  4 Ge 2.57-2.67
Ge (0.6942, 0.0000, 0.8804)  4 Ge 2.57-2.67
Ge (0.3804, 0.5000, 0.8058)  4 Ge 2.57-2.67
Ge (0.3058, 0.0000, 0.8804)  4 Ge 2.57-2.67
Ge (0.3804, 0.5000, 0.1942)  4 Ge 2.57-2.67
Ge (0.6942, 0.0000, 0.1196)  4 Ge 2.57-2.67
Ge (0.6196, 0.5000, 0.8058)  4 Ge 2.57-2.67
Ge (0.1196, 0.3058, 0.0000)  4 Ge 2.57-2.67
Ge (0.5000, 0.8058, 0.3804)  4 Ge 2.57-2.67
Ge (0.8804, 0.6942, 0.0000)  4 Ge 2.57-2.67
Ge (0.5000, 0.1942, 0.6196)  4 Ge 2.57-2.67
Ge (0.1196, 0.6942, 0.0000)  4 Ge 2.57-2.67
Ge (0.5000, 0.1942, 0.3804)  4 Ge 2.57-2.67
Ge (0.8804, 0.3058, 0.0000)  4 Ge 2.57-2.67
Ge (0.5000, 0.8058, 0.6196)  4 Ge 2.57-2.67
Ge (0.1942, 0.6196, 0.5000)  4 Ge 2.57-2.67
Ge (0.8058, 0.3804, 0.5000)  4 Ge 2.57-2.67
Ge (0.1942, 0.3804, 0.5000)  4 Ge 2.57-2.67
Ge (0.8058, 0.6196, 0.5000)  4 Ge 2.57-2.67
Ge (0.2500, 0.5000, 0.0000)  4 Ge 2.61
Ge (0.7500, 0.5000, 0.0000)  4 Ge 2.61
Ge (0.0000, 0.2500, 0.5000)  4 Ge 2.61
Ge (0.0000, 0.7500, 0.5000)  4 Ge 2.61
Ge (0.5000, 0.0000, 0.2500)  4 Ge 2.61
Ge (0.5000, 0.0000, 0.7500)  4 Ge 2.61
Ge (0.1845, 0.1845, 0.1845)  4 Ge 2.53-2.57
Ge (0.8155, 0.8155, 0.8155)  4 Ge 2.53-2.57
Ge (0.8155, 0.8155, 0.1845)  4 Ge 2.53-2.57
Ge (0.8155, 0.1845, 0.8155)  4 Ge 2.53-2.57
Ge (0.6845, 0.6845, 0.3155)  4 Ge 2.53-2.57
Ge (0.1845, 0.1845, 0.8155)  4 Ge 2.53-2.57
Ge (0.1845, 0.8155, 0.1845)  4 Ge 2.53-2.57
Ge (0.3155, 0.3155, 0.6845)  4 Ge 2.53-2.57
Ge (0.1845, 0.8155, 0.8155)  4 Ge 2.53-2.57
Ge (0.3155, 0.3155, 0.3155)  4 Ge 2.53-2.57
Ge (0.8155, 0.1845, 0.1845)  4 Ge 2.53-2.57
Ge (0.6845, 0.6845, 0.6845)  4 Ge 2.53-2.57
Ge (0.6845, 0.3155, 0.6845)  4 Ge 2.53-2.57
Ge (0.3155, 0.6845, 0.3155)  4 Ge 2.53-2.57
Ge (0.3155, 0.6845, 0.6845)  4 Ge 2.53-2.57
Ge (0.6845, 0.3155, 0.3155)  4 Ge 2.53-2.57

Computed properties:
Total energy ... -4.1669 eV/atom
Space-group type ... Pm-3n (223)
M_tot ... 0.0 μB per cell
ΔH_f (0 K) ... -83 meV per atom


(3)
VASP calculation (PBE) on a relaxed K4SnS4O4 crystal.

Cell: 7.7733 8.0461 11.8723 Å, 93.64 91.00 110.57°
With the nearest neighbours (Å) after each atom.
Element x y z (fractional)
K (0.2025, 0.8349, 0.4717)  1 O 2.79
K (0.7975, 0.1651, 0.5283)  1 O 2.79
K (0.5973, 0.6189, 0.3499)  1 O 2.70
K (0.4027, 0.3811, 0.6501)  1 O 2.70
K (0.4217, 0.9953, 0.8331)  3 O 2.70-2.97
K (0.5783, 0.0047, 0.1669)  3 O 2.70-2.97
K (0.0439, 0.7214, 0.1053)  4 O 2.76-3.09
K (0.9561, 0.2786, 0.8947)  4 O 2.76-3.09
Sn (0.8127, 0.7860, 0.7168)  4 S 2.38-2.52
Sn (0.1873, 0.2140, 0.2832)  4 S 2.38-2.52
S (0.7449, 0.7904, 0.9239)  1 O 1.58
S (0.2551, 0.2096, 0.0761)  1 O 1.58
S (0.5499, 0.7853, 0.6066)  1 Sn 2.40
S (0.4501, 0.2147, 0.3934)  1 Sn 2.40
S (0.8871, 0.5054, 0.7013)  1 O 1.63
S (0.1129, 0.4946, 0.2987)  1 O 1.63
S (0.0798, 0.0374, 0.6877)  1 Sn 2.38
S (0.9202, 0.9626, 0.3123)  1 Sn 2.38
O (0.2714, 0.6426, 0.9277)  1 O 1.29
O (0.7286, 0.3574, 0.0723)  1 O 1.29
O (0.6345, 0.4441, 0.1197)  1 O 1.29
O (0.3655, 0.5559, 0.8803)  1 O 1.29
O (0.2984, 0.0355, 0.0431)  1 S 1.58
O (0.7016, 0.9645, 0.9569)  1 S 1.58
O (0.2896, 0.6705, 0.2778)  1 S 1.63
O (0.7104, 0.3295, 0.7222)  1 S 1.63

Computed properties:
Total energy ... -4.3351 eV/atom
Space-group type ... P-1 (2)
M_tot ... 4.0 μB per cell
ΔH_f (0 K) ... -939 meV per atom


(4)
VASP calculation (PBE) on a relaxed GaHO2 crystal.

Cell: 6.2124 6.0659 5.2456 Å, 66.16 63.27 50.57°
With the nearest neighbours (Å) after each atom.
Element x y z (fractional)
Ga (0.3273, 0.6767, 0.0550)  6 O 1.95-2.18
Ga (0.9371, 0.0728, 0.6706)  6 O 1.95-2.17
Ga (0.1855, 0.3210, 0.9208)  6 O 2.00-2.22
Ga (0.5714, 0.9269, 0.3204)  5 O 1.96-2.11
H (0.7159, 0.4913, 0.2144)  1 O 0.98
H (0.7477, 0.5342, 0.6819)  1 O 1.05
H (0.0382, 0.6690, 0.5293)  1 O 1.01
H (0.5699, 0.2175, 0.4979)  1 O 1.05
O (0.2671, 0.9989, 0.7307)  3 Ga 1.95-2.11
O (0.0009, 0.7265, 0.0084)  4 Ga 1.97-2.20
O (0.2444, 0.9837, 0.2484)  4 Ga 2.01-2.17
O (0.5196, 0.2465, 0.9911)  4 Ga 1.96-2.18
O (0.7586, 0.4863, 0.0121)  1 H 0.98
O (0.7531, 0.4913, 0.5027)  1 H 1.05
O (0.2485, 0.5046, 0.4871)  1 H 1.01
O (0.7424, 0.9987, 0.5004)  1 H 1.05

Computed properties:
Total energy ... -5.3731 eV/atom
Space-group type ... P1 (1)
M_tot ... 0.0 μB per cell
ΔH_f (0 K) ... -1637 meV per atom


(5)
VASP calculation (PBE) on a relaxed LuZnRh crystal.

Cell: 4.0334 6.8697 8.0452 Å, 90.00 90.00 90.00°
With the nearest neighbours (Å) after each atom.
Element x y z (fractional)
Lu (0.2500, 0.5272, 0.1814)  5 Rh 2.86-2.94, 5 Zn 3.10-3.18
Lu (0.7500, 0.4728, 0.8186)  5 Rh 2.86-2.94, 5 Zn 3.10-3.18
Lu (0.7500, 0.9728, 0.6814)  5 Rh 2.86-2.94, 5 Zn 3.10-3.18
Lu (0.2500, 0.0272, 0.3186)  5 Rh 2.86-2.94, 5 Zn 3.10-3.18
Zn (0.2500, 0.6422, 0.5642)  4 Rh 2.61-2.66
Zn (0.7500, 0.3578, 0.4358)  4 Rh 2.61-2.66
Zn (0.7500, 0.8578, 0.0642)  4 Rh 2.61-2.66
Zn (0.2500, 0.1422, 0.9358)  4 Rh 2.61-2.66
Rh (0.2500, 0.7609, 0.8753)  4 Zn 2.61-2.66, 2 Lu 2.86
Rh (0.7500, 0.2391, 0.1247)  4 Zn 2.61-2.66, 2 Lu 2.86
Rh (0.7500, 0.7391, 0.3753)  4 Zn 2.61-2.66, 2 Lu 2.86
Rh (0.2500, 0.2609, 0.6247)  4 Zn 2.61-2.66, 2 Lu 2.86

Computed properties:
Total energy ... -5.1443 eV/atom
Space-group type ... Pnma (62)
ΔH_f (0 K) ... -763 meV per atom


(6)
VASP calculation (PBE) on a relaxed Er4Cu5P7 crystal.

Cell: 10.2514 10.2514 10.2514 Å, 150.27 150.27 42.54°
With the nearest neighbours (Å) after each atom.
Element x y z (fractional)
Er (0.6247, 0.1446, 0.0000)  7 P 2.81-2.88, 2 Cu 2.93-3.13
Er (0.1446, 0.6247, 0.0000)  7 P 2.81-2.88, 2 Cu 2.93-3.13
Er (0.3753, 0.3753, 0.5198)  7 P 2.81-2.88, 2 Cu 2.93-3.13
Er (0.8554, 0.8554, 0.4802)  7 P 2.81-2.88, 2 Cu 2.93-3.13
Cu (0.7497, 0.7497, 0.0000)  4 P 2.38-2.43, 4 Cu 2.63
Cu (0.2503, 0.2503, 0.0000)  4 P 2.38-2.43, 4 Cu 2.63
Cu (0.2500, 0.7500, 0.5000)  4 P 2.41, 4 Cu 2.63
Cu (0.7500, 0.2500, 0.5000)  4 P 2.41, 4 Cu 2.63
Cu (0.0000, 0.0000, 0.0000)  4 P 2.63, 4 Er 2.93
P (0.4155, 0.9248, 0.0000)  4 Cu 2.38-2.43
P (0.9248, 0.4155, 0.0000)  4 Cu 2.38-2.43
P (0.5845, 0.5845, 0.5093)  4 Cu 2.38-2.43
P (0.0752, 0.0752, 0.4907)  4 Cu 2.38-2.43
P (0.5000, 0.5000, 0.0000)  4 P 2.63, 4 Er 2.84
P (0.5000, 0.0000, 0.5000)  2 Cu 2.63, 2 P 2.63, 4 Er 2.88
P (0.0000, 0.5000, 0.5000)  2 Cu 2.63, 2 P 2.63, 4 Er 2.88

Computed properties:
Total energy ... -5.5970 eV/atom
Space-group type ... I-42m (121)
M_tot ... 0.0 μB per cell
ΔH_f (0 K) ... -806 meV per atom